No. 1
Material: ZnFe2H28S4O30
Method: DFT, PBE+U
State: relaxed

Calculated values
**Magnetization**: 10.0 μB per formula unit
**Theoretical density**: 2.13 Mg/m³
**SG**: P-1 (2)
**Formation energy from the elements**: -1478 meV per atom

```
ZnFe2H28S4O30
1.0
4.085 0.427 4.880
2.648 -4.929 -3.332
7.966 10.978 -7.621
S H O Fe Zn
4 28 30 2 1
Direct
0.360 0.595 0.834 S
0.090 0.238 0.387 S
0.910 0.762 0.613 S
0.640 0.405 0.166 S
0.323 0.263 0.937 H
0.903 0.137 0.720 H
0.152 0.741 0.107 H
0.032 0.623 0.240 H
0.720 0.996 0.316 H
0.697 0.695 0.450 H
0.201 0.661 0.011 H
0.303 0.305 0.550 H
0.371 0.035 0.908 H
0.240 0.185 0.139 H
0.536 0.046 0.255 H
0.677 0.737 0.063 H
0.793 0.283 0.523 H
0.207 0.717 0.477 H
0.097 0.863 0.280 H
0.754 0.513 0.384 H
0.760 0.815 0.861 H
0.968 0.377 0.760 H
0.464 0.954 0.745 H
0.799 0.339 0.989 H
0.629 0.965 0.092 H
0.282 0.939 0.439 H
0.990 0.750 0.843 H
0.010 0.250 0.157 H
0.246 0.487 0.616 H
0.718 0.061 0.561 H
0.280 0.004 0.684 H
0.848 0.259 0.893 H
0.489 0.811 0.830 O
0.845 0.415 0.213 O
0.092 0.170 0.117 O
0.236 0.382 0.332 O
0.333 0.540 0.924 O
0.511 0.189 0.170 O
0.335 0.377 0.609 O
0.306 0.116 0.952 O
0.908 0.830 0.883 O
0.991 0.052 0.330 O
0.009 0.948 0.670 O
0.299 0.788 0.432 O
0.156 0.743 0.251 O
0.111 0.740 0.047 O
0.889 0.260 0.953 O
0.844 0.257 0.749 O
0.479 0.436 0.790 O
0.667 0.460 0.076 O
0.437 0.037 0.696 O
0.155 0.585 0.787 O
0.521 0.564 0.210 O
0.779 0.826 0.545 O
0.221 0.174 0.455 O
0.665 0.623 0.391 O
0.924 0.348 0.424 O
0.563 0.963 0.304 O
0.701 0.212 0.568 O
0.764 0.618 0.668 O
0.694 0.884 0.048 O
0.076 0.652 0.576 O
0.593 0.336 0.680 Fe
0.407 0.664 0.320 Fe
0.000 0.000 0.000 Zn
```

No. 2
Material: LaW11O33
Method: DFT, PBE+U
State: relaxed

Calculated values
**Theoretical density**: 6.93 Mg/m³
**SG**: P-1 (2)
**Formation energy from the elements**: -2287 meV per atom

```
LaW11O33
1.0
8.685 0.000 0.000
-3.477 7.963 0.000
-1.731 -0.757 9.319
O W La
33 11 1
Direct
0.909 0.363 0.817 O
0.409 0.864 0.318 O
0.727 0.091 0.455 O
0.323 0.234 0.133 O
0.632 0.456 0.266 O
0.045 0.319 0.591 O
0.909 0.363 0.318 O
0.368 0.544 0.221 O
0.273 0.909 0.045 O
0.955 0.681 0.409 O
0.191 0.279 0.867 O
0.000 0.000 0.500 O
0.546 0.818 0.591 O
0.091 0.637 0.682 O
0.000 0.000 0.000 O
0.181 0.272 0.364 O
0.809 0.721 0.133 O
0.632 0.456 0.779 O
0.545 0.810 0.089 O
0.273 0.909 0.545 O
0.368 0.544 0.734 O
0.454 0.182 0.409 O
0.727 0.091 0.955 O
0.819 0.728 0.636 O
0.591 0.136 0.682 O
0.766 0.412 0.044 O
0.500 0.500 0.500 O
0.677 0.766 0.867 O
0.234 0.588 0.956 O
0.136 0.954 0.773 O
0.091 0.637 0.183 O
0.455 0.190 0.911 O
0.864 0.046 0.227 O
0.777 0.915 0.049 W
0.315 0.731 0.140 W
0.223 0.085 0.951 W
0.500 0.000 0.500 W
0.049 0.821 0.588 W
0.596 0.642 0.676 W
0.685 0.269 0.860 W
0.951 0.179 0.412 W
0.132 0.457 0.767 W
0.868 0.543 0.233 W
0.404 0.358 0.324 W
0.500 0.500 0.000 La
```